[1]
Density functional theory data (meta-GGA r2SCAN) for an optimized crystal structure of LuBi. Values from VASP.

Geometry as Quantum ESPRESSO input:
```
&SYSTEM
  ibrav = 0, nat = 2, ntyp = 2
/
ATOMIC_SPECIES
Lu 174.97 Lu.upf
Bi 208.98 Bi.upf
ATOMIC_POSITIONS angstrom
Lu 4.421 -2.603 1.594
Bi 0.000 0.000 0.000
CELL_PARAMETERS angstrom
2.073 -1.766 3.440
2.395 -3.639 -0.514
4.374 0.198 0.263
```

Magnetization = 0.0 μB per formula unit
Space group = Fm-3m (225)
E_form = -0.92 eV per atom

---

[2]
Density functional theory data (meta-GGA r2SCAN) for an optimized crystal structure of Hg2AsF6. Values from VASP.

Geometry as Quantum ESPRESSO input:
```
&SYSTEM
  ibrav = 0, nat = 36, ntyp = 3
/
ATOMIC_SPECIES
Hg 200.59 Hg.upf
As 74.92 As.upf
F 19.00 F.upf
ATOMIC_POSITIONS angstrom
Hg -10.985 -4.471 1.454
Hg -5.290 -7.750 6.303
Hg -0.455 -5.843 3.158
Hg -6.150 -2.564 -1.691
Hg -10.710 -10.026 3.561
Hg -6.937 -2.747 3.539
Hg -0.730 -0.288 1.051
Hg -4.503 -7.567 1.072
As -8.919 -6.398 4.410
As -3.468 -4.258 5.206
As -2.521 -3.916 0.202
As -7.972 -6.056 -0.594
F -7.821 -7.549 3.693
F -4.147 -2.937 6.124
F -3.619 -2.764 0.919
F -7.293 -7.377 -1.512
F -10.043 -5.234 5.116
F -2.800 -5.605 4.282
F -1.397 -5.080 -0.504
F -8.640 -4.709 0.330
F -9.382 -7.585 5.605
F -3.537 -3.284 3.757
F -2.058 -2.728 -0.993
F -7.903 -7.030 0.855
F -8.473 -5.206 3.217
F -3.403 -5.244 6.643
F -2.967 -5.108 1.395
F -8.037 -5.070 -2.032
F -10.209 -6.966 3.378
F -5.072 -4.854 4.854
F -1.231 -3.348 1.234
F -6.368 -5.459 -0.242
F -7.668 -5.822 5.467
F -1.860 -3.682 5.517
F -3.772 -4.492 -0.855
F -9.580 -6.632 -0.905
CELL_PARAMETERS angstrom
-9.624 -3.876 -4.604
1.961 -4.996 0.107
-3.777 -1.441 9.108
```

Magnetization = 0.0 μB per formula unit
Space group = P2_1/c (14)
E_form = -1.86 eV per atom

---

[3]
Density functional theory data (meta-GGA r2SCAN) for an optimized crystal structure of UC. Values from VASP.

Geometry as Quantum ESPRESSO input:
```
&SYSTEM
  ibrav = 0, nat = 2, ntyp = 2
/
ATOMIC_SPECIES
U 238.03 U.upf
C 12.01 C.upf
ATOMIC_POSITIONS angstrom
U 0.000 0.000 0.000
C 2.015 1.425 3.491
CELL_PARAMETERS angstrom
3.023 0.000 1.745
1.008 2.850 1.745
0.000 0.000 3.491
```

Magnetization = 0.0 μB per formula unit
Space group = Fm-3m (225)
E_form = -0.26 eV per atom

---

[4]
Density functional theory data (meta-GGA r2SCAN) for an optimized crystal structure of PrSn3Ru. Values from VASP.

Geometry as Quantum ESPRESSO input:
```
&SYSTEM
  ibrav = 0, nat = 40, ntyp = 3
/
ATOMIC_SPECIES
Pr 140.91 Pr.upf
Sn 118.71 Sn.upf
Ru 101.07 Ru.upf
ATOMIC_POSITIONS angstrom
Pr 0.000 4.892 7.337
Pr 4.892 2.446 0.000
Pr 7.337 9.783 4.891
Pr 9.783 4.892 2.446
Pr 4.891 7.337 0.000
Pr 2.446 9.783 4.891
Pr 4.892 4.892 4.891
Pr 0.000 9.783 0.000
Sn 7.977 3.358 4.891
Sn 6.424 4.891 7.977
Sn 4.891 1.806 6.424
Sn 1.806 6.424 4.891
Sn 3.358 4.891 1.806
Sn 4.891 7.977 3.358
Sn 7.977 6.424 4.892
Sn 6.424 4.891 1.806
Sn 1.806 3.358 4.891
Sn 3.358 4.891 7.977
Sn 4.892 7.977 6.424
Sn 4.891 1.806 3.358
Sn 3.086 0.001 8.250
Sn 1.533 3.085 0.000
Sn 0.001 1.533 6.697
Sn 6.697 0.001 1.533
Sn 8.250 6.697 9.783
Sn 0.000 8.250 3.086
Sn 3.085 0.001 1.533
Sn 1.533 6.697 0.000
Sn 6.697 0.000 8.250
Sn 8.250 3.086 0.000
Sn 0.000 1.533 3.085
Sn 9.783 8.250 6.697
Ru 7.337 2.446 7.337
Ru 2.446 7.337 2.446
Ru 7.337 7.337 2.446
Ru 2.446 2.446 7.337
Ru 2.446 7.337 7.337
Ru 7.337 2.446 2.446
Ru 2.446 2.446 2.446
Ru 7.337 7.337 7.337
CELL_PARAMETERS angstrom
9.783 0.000 0.000
0.000 9.783 0.000
0.000 0.000 9.783
```

Magnetization = 0.0 μB per formula unit
Space group = Pm-3n (223)
E_form = -0.52 eV per atom

---

[5]
Density functional theory data (meta-GGA r2SCAN) for an optimized crystal structure of CeB2Ru2. Values from VASP.

Geometry as Quantum ESPRESSO input:
```
&SYSTEM
  ibrav = 0, nat = 10, ntyp = 3
/
ATOMIC_SPECIES
Ce 140.12 Ce.upf
B 10.81 B.upf
Ru 101.07 Ru.upf
ATOMIC_POSITIONS angstrom
Ce -2.766 -2.238 -1.148
Ce 0.000 0.000 0.000
B -2.607 3.889 -1.455
B -2.692 0.616 -1.291
B -0.429 1.486 -3.317
B -0.514 -1.786 -3.153
Ru -1.285 2.207 -1.570
Ru -4.014 2.298 -1.177
Ru -3.580 0.119 0.516
Ru -1.836 -0.105 -3.038
CELL_PARAMETERS angstrom
-0.355 4.341 -3.460
-0.588 -4.641 -3.009
-4.472 0.314 3.948
```

Magnetization = 0.6 μB per formula unit
Space group = Fddd (70)
E_form = -0.60 eV per atom

---

[6]
Density functional theory data (meta-GGA r2SCAN) for an optimized crystal structure of LiGaGe. Values from VASP.

Geometry as Quantum ESPRESSO input:
```
&SYSTEM
  ibrav = 0, nat = 6, ntyp = 3
/
ATOMIC_SPECIES
Li 6.94 Li.upf
Ga 69.72 Ga.upf
Ge 72.64 Ge.upf
ATOMIC_POSITIONS angstrom
Li 0.000 0.000 5.136
Li 0.000 0.000 1.747
Ga 2.084 1.203 3.755
Ga 0.000 2.407 0.366
Ge 0.000 2.407 2.971
Ge 2.084 1.203 6.360
CELL_PARAMETERS angstrom
4.169 0.000 0.000
-2.084 3.610 0.000
0.000 0.000 6.778
```

Magnetization = 0.0 μB per formula unit
Space group = P6_3mc (186)
E_form = -0.33 eV per atom

---

[7]
Density functional theory data (meta-GGA r2SCAN) for an optimized crystal structure of YPdPb. Values from VASP.

Geometry as Quantum ESPRESSO input:
```
&SYSTEM
  ibrav = 0, nat = 9, ntyp = 3
/
ATOMIC_SPECIES
Y 88.91 Y.upf
Pd 106.42 Pd.upf
Pb 207.20 Pb.upf
ATOMIC_POSITIONS angstrom
Y 0.782 2.778 -2.270
Y -3.632 0.343 -0.413
Y -2.453 1.208 -4.247
Pd -0.912 1.737 0.111
Pd -3.123 -1.456 -2.858
Pd 0.555 0.574 -4.405
Pb 3.107 1.911 -4.369
Pb -4.992 -2.558 -0.962
Pb -0.683 -0.235 -1.933
CELL_PARAMETERS angstrom
4.234 2.604 -5.953
-6.802 -3.486 -1.311
-1.823 3.474 0.223
```

Magnetization = 0.0 μB per formula unit
Space group = P-62m (189)
E_form = -0.81 eV per atom

---

[8]
Density functional theory data (meta-GGA r2SCAN) for an optimized crystal structure of SrCuGe. Values from VASP.

Geometry as Quantum ESPRESSO input:
```
&SYSTEM
  ibrav = 0, nat = 3, ntyp = 3
/
ATOMIC_SPECIES
Sr 87.62 Sr.upf
Cu 63.55 Cu.upf
Ge 72.64 Ge.upf
ATOMIC_POSITIONS angstrom
Sr -1.418 -0.498 -1.869
Cu -1.883 0.334 1.340
Ge -2.576 -1.925 0.929
CELL_PARAMETERS angstrom
-2.143 1.263 -3.327
0.032 -4.020 1.047
-3.766 0.668 2.680
```

Magnetization = 0.0 μB per formula unit
Space group = P-6m2 (187)
E_form = -0.45 eV per atom